{
  "formula": "SrEu2BeO5",
  "functional": "GGA-PBE",
  "state": "optimized geometry",
  "dft_energy_ev_per_cell": -300.510,
  "rho_g_cm3": 6.87,
  "vol_a3_per_atom": 12.9,
  "lattice": [[6.642, 0.000, 0.000], [0.000, 7.256, 0.000], [0.000, 0.000, 9.635]],
  "species": ["O", "O", "O", "O", "O", "O", "O", "O", "O", "O", "O", "O", "O", "O", "O", "O", "O", "O", "O", "O", "Eu", "Eu", "Eu", "Eu", "Eu", "Eu", "Eu", "Eu", "Be", "Be", "Be", "Be", "Sr", "Sr", "Sr", "Sr"],
  "fractional_positions": [[0.130, 0.251, 0.272], [0.981, 0.250, 0.009], [0.019, 0.750, 0.991], [0.337, 0.750, 0.783], [0.870, 0.751, 0.728], [0.663, 0.250, 0.217], [0.519, 0.250, 0.509], [0.370, 0.251, 0.772], [0.191, 0.441, 0.567], [0.481, 0.750, 0.491], [0.691, 0.941, 0.933], [0.314, 0.059, 0.069], [0.814, 0.559, 0.431], [0.163, 0.750, 0.283], [0.630, 0.751, 0.228], [0.686, 0.559, 0.931], [0.809, 0.941, 0.433], [0.837, 0.250, 0.717], [0.186, 0.059, 0.569], [0.309, 0.441, 0.067], [0.588, 0.248, 0.978], [0.412, 0.748, 0.022], [0.920, 0.522, 0.174], [0.088, 0.748, 0.522], [0.420, 0.022, 0.326], [0.080, 0.022, 0.826], [0.912, 0.248, 0.478], [0.580, 0.522, 0.674], [0.308, 0.250, 0.601], [0.808, 0.750, 0.899], [0.192, 0.250, 0.101], [0.692, 0.750, 0.399], [0.585, 0.981, 0.674], [0.085, 0.481, 0.826], [0.915, 0.981, 0.174], [0.415, 0.481, 0.326]]
}